[1]
! Li2Ti7Nb6O30 (PBE, optimized geometry); values from VASP
&SYSTEM
  ibrav = 0, nat = 45, ntyp = 4
/
ATOMIC_SPECIES
Li 6.94 Li.upf
Ti 47.87 Ti.upf
Nb 92.91 Nb.upf
O 16.00 O.upf
CELL_PARAMETERS angstrom
5.193 0.000 0.000
-2.597 4.498 0.000
0.000 0.000 23.750
ATOMIC_POSITIONS angstrom
Li 0.000 0.000 0.000
Li 0.000 2.998 14.407
Ti 0.000 0.000 5.887
Ti 0.000 0.000 12.320
Ti 0.000 0.000 15.304
Ti 0.000 0.000 19.895
Ti 2.597 1.499 5.324
Ti 2.597 1.499 13.011
Ti 2.597 1.499 19.355
Nb 0.000 0.000 2.953
Nb 0.000 2.998 0.758
Nb 0.000 2.998 7.871
Nb 0.000 2.998 17.360
Nb 2.597 1.499 10.013
Nb 2.597 1.499 22.305
O -1.640 2.862 23.295
O -0.858 1.523 6.606
O -1.578 2.772 8.970
O -1.712 3.003 18.621
O -0.588 1.481 1.861
O -0.523 1.530 16.208
O -1.010 4.186 16.208
O -1.020 4.266 1.861
O 0.906 1.234 13.798
O 1.012 1.110 4.412
O 0.852 1.513 18.621
O -0.849 4.480 6.606
O 1.575 0.404 20.827
O 1.632 0.361 11.486
O 0.938 1.646 23.295
O 0.985 1.746 8.970
O 0.592 4.478 8.970
O 0.702 4.486 23.295
O 1.533 3.280 16.208
O 1.707 2.993 6.606
O 0.860 4.479 18.621
O 1.608 3.248 1.861
O 3.672 0.167 13.798
O 2.094 2.904 11.486
O 2.159 2.932 20.827
O 3.726 0.322 4.412
O 4.056 1.162 20.827
O 4.065 1.232 11.486
O 3.052 3.066 4.412
O 3.213 3.096 13.798
! Energy relative to the elements: -73.08 kcal/mol of atoms
! Raw total energy: -390.14 eV/f.u.
! Calculated volume: 554.7 Å³/cell

[2]
! K3LuF6 (PBE, optimized geometry); values from VASP
&SYSTEM
  ibrav = 0, nat = 10, ntyp = 3
/
ATOMIC_SPECIES
K 39.10 K.upf
Lu 174.97 Lu.upf
F 19.00 F.upf
CELL_PARAMETERS angstrom
0.000 4.649 4.649
4.649 0.000 4.649
4.649 4.649 0.000
ATOMIC_POSITIONS angstrom
K 0.000 0.000 0.000
K 2.325 2.325 2.325
K 6.974 6.974 6.974
Lu 4.649 4.649 4.649
F 4.649 4.649 2.536
F 4.649 2.536 4.649
F 6.763 4.649 4.649
F 2.536 4.649 4.649
F 4.649 6.763 4.649
F 4.649 4.649 6.763
! Energy relative to the elements: -82.53 kcal/mol of atoms
! Raw total energy: -52.36 eV/f.u.
! Calculated volume: 201.0 Å³/cell

[3]
! Rb12MgCl4O4 (PBE, optimized geometry); values from VASP
&SYSTEM
  ibrav = 0, nat = 21, ntyp = 4
/
ATOMIC_SPECIES
Rb 85.47 Rb.upf
Mg 24.30 Mg.upf
Cl 35.45 Cl.upf
O 16.00 O.upf
CELL_PARAMETERS angstrom
7.580 0.000 0.000
0.487 8.070 0.000
1.172 0.361 12.031
ATOMIC_POSITIONS angstrom
Rb 0.000 0.000 0.000
Rb 0.322 3.855 0.049
Rb 1.558 2.012 7.803
Rb 2.658 1.272 2.357
Rb 3.836 7.467 5.813
Rb 4.141 3.389 5.368
Rb 5.010 3.799 10.865
Rb 5.376 8.222 10.484
Rb 5.158 5.611 2.450
Rb 6.358 5.575 7.752
Rb 7.750 7.952 4.681
Rb 7.921 3.874 4.428
Mg 1.980 6.314 9.346
Cl 1.845 5.201 6.974
Cl 1.872 6.058 2.333
Cl 5.813 2.182 7.935
Cl 5.834 2.235 2.211
O 1.928 1.643 5.100
O 3.227 2.114 11.762
O 5.813 5.794 4.925
O 7.901 6.275 10.273
! Energy relative to the elements: -31.30 kcal/mol of atoms
! Raw total energy: -66.31 eV/f.u.
! Calculated volume: 735.9 Å³/cell

[4]
! Na4CuTe2O29 (PBE, optimized geometry); values from VASP
&SYSTEM
  ibrav = 0, nat = 36, ntyp = 4
/
ATOMIC_SPECIES
Na 22.99 Na.upf
Cu 63.55 Cu.upf
Te 127.60 Te.upf
O 16.00 O.upf
CELL_PARAMETERS angstrom
4.901 0.000 0.000
-2.428 8.625 0.000
-1.013 -0.798 13.256
ATOMIC_POSITIONS angstrom
Na -0.414 2.205 4.233
Na -2.301 6.589 12.673
Na 3.761 1.238 0.583
Na 1.874 5.622 9.023
Cu 1.236 4.313 0.000
Te 0.962 1.619 10.629
Te 0.498 6.208 2.627
O -1.720 3.913 6.628
O -0.843 1.128 6.949
O -2.725 7.577 10.315
O -1.080 1.729 10.434
O -1.395 6.416 1.754
O -0.431 3.171 1.959
O -1.954 7.471 5.591
O -0.286 4.185 5.612
O 1.208 1.287 0.202
O -0.661 5.267 8.762
O 0.889 -0.539 10.679
O 0.646 3.984 1.783
O 0.074 5.387 5.506
O -0.367 6.456 8.409
O 0.730 1.619 12.816
O 0.730 6.208 0.439
O 1.827 1.370 4.847
O 1.386 2.439 7.749
O 0.814 3.842 11.473
O 0.571 8.366 2.577
O 2.121 2.560 4.493
O 0.252 6.539 13.054
O 1.746 3.642 7.644
O 3.414 0.356 7.665
O 1.891 4.656 11.297
O 2.855 1.411 11.502
O 2.540 6.097 2.822
O 4.185 0.250 2.941
O 2.303 6.699 6.307
! Energy relative to the elements: -8.09 kcal/mol of atoms
! Raw total energy: -167.13 eV/f.u.
! Calculated volume: 560.3 Å³/cell

[5]
! Sm3Lu (PBE, optimized geometry); values from VASP
&SYSTEM
  ibrav = 0, nat = 8, ntyp = 2
/
ATOMIC_SPECIES
Sm 150.36 Sm.upf
Lu 174.97 Lu.upf
CELL_PARAMETERS angstrom
7.255 0.000 0.000
-3.627 6.283 0.000
0.000 0.000 5.822
ATOMIC_POSITIONS angstrom
Sm 0.000 2.110 1.456
Sm -1.800 5.228 1.456
Sm 1.828 1.055 4.367
Sm 1.800 5.228 1.456
Sm 5.427 1.055 4.367
Sm 3.627 4.172 4.367
Lu 0.000 4.189 4.367
Lu 3.627 2.094 1.456
! Energy relative to the elements: 0.41 kcal/mol of atoms
! Raw total energy: -18.60 eV/f.u.
! Calculated volume: 265.4 Å³/cell

[6]
! PrTmS3 (PBE, optimized geometry); values from VASP
&SYSTEM
  ibrav = 0, nat = 40, ntyp = 3
/
ATOMIC_SPECIES
Pr 140.91 Pr.upf
Tm 168.93 Tm.upf
S 32.06 S.upf
CELL_PARAMETERS angstrom
11.044 0.000 0.000
0.000 3.972 0.000
-4.320 0.000 21.144
ATOMIC_POSITIONS angstrom
Pr -0.557 0.993 7.681
Pr 2.067 0.993 0.777
Pr 0.168 2.979 15.541
Pr 2.404 0.993 4.919
Pr 4.320 2.979 16.225
Pr 6.556 0.993 5.603
Pr 4.657 2.979 20.366
Pr 7.281 2.979 13.463
Tm -3.344 0.993 18.008
Tm -0.379 0.993 11.560
Tm 0.975 0.993 19.401
Tm 3.493 2.979 8.713
Tm 3.231 0.993 12.431
Tm 5.750 2.979 1.743
Tm 7.103 2.979 9.584
Tm 10.069 2.979 3.136
S -0.582 0.993 4.827
S -3.435 2.979 19.974
S -1.060 2.979 9.795
S -1.492 0.993 14.030
S 1.672 2.979 2.857
S 1.387 2.979 6.896
S -0.751 0.993 17.435
S 1.187 2.979 12.673
S -0.335 2.979 20.841
S 2.021 0.993 9.806
S 4.434 0.993 2.816
S 2.344 0.993 15.235
S 4.380 2.979 5.909
S 2.290 2.979 18.327
S 4.704 2.979 11.338
S 7.059 0.993 0.302
S 5.537 0.993 8.471
S 7.475 2.979 3.709
S 5.338 0.993 14.248
S 5.053 0.993 18.287
S 8.217 2.979 7.114
S 7.784 0.993 11.349
S 10.159 0.993 1.170
S 7.306 2.979 16.317
! Energy relative to the elements: -54.72 kcal/mol of atoms
! Raw total energy: -32.02 eV/f.u.
! Calculated volume: 927.5 Å³/cell

[7]
! U (PBE, optimized geometry); values from VASP
&SYSTEM
  ibrav = 0, nat = 30, ntyp = 1
/
ATOMIC_SPECIES
U 238.03 U.upf
CELL_PARAMETERS angstrom
10.434 0.000 0.000
0.000 10.434 0.000
0.000 0.000 5.653
ATOMIC_POSITIONS angstrom
U 0.000 0.000 0.000
U 0.491 3.777 2.827
U 0.585 2.773 0.000
U 1.158 1.158 2.827
U 1.440 5.708 0.000
U 1.875 8.559 1.551
U 1.875 8.559 4.103
U 2.444 5.802 2.827
U 2.773 0.585 0.000
U 3.342 3.342 1.276
U 3.342 3.342 4.377
U 3.777 0.491 2.827
U 4.059 6.375 0.000
U 4.632 7.990 2.827
U 4.726 8.994 0.000
U 5.217 5.217 2.827
U 5.708 1.440 0.000
U 5.802 2.444 2.827
U 6.375 4.059 0.000
U 6.657 9.943 2.827
U 7.092 7.092 1.276
U 7.092 7.092 4.377
U 7.661 9.849 0.000
U 7.990 4.632 2.827
U 8.559 1.875 1.551
U 8.559 1.875 4.103
U 8.994 4.726 0.000
U 9.276 9.276 2.827
U 9.849 7.661 0.000
U 9.943 6.657 2.827
! Energy relative to the elements: 2.35 kcal/mol of atoms
! Raw total energy: -11.19 eV/f.u.
! Calculated volume: 615.5 Å³/cell

[8]
! KU2Se6 (PBE, optimized geometry); values from VASP
&SYSTEM
  ibrav = 0, nat = 9, ntyp = 3
/
ATOMIC_SPECIES
K 39.10 K.upf
U 238.03 U.upf
Se 78.96 Se.upf
CELL_PARAMETERS angstrom
-2.027 2.768 11.052
2.027 -2.768 11.052
2.027 2.768 -11.052
ATOMIC_POSITIONS angstrom
K 0.000 0.000 0.000
U 2.027 0.000 7.050
U 0.000 2.768 4.002
Se 2.027 1.404 -2.388
Se 0.000 0.000 4.997
Se 2.027 1.404 2.388
Se 0.000 1.364 8.664
Se 0.000 0.000 17.106
Se 0.000 1.364 13.440
! Energy relative to the elements: -32.37 kcal/mol of atoms
! Raw total energy: -54.47 eV/f.u.
! Calculated volume: 248.0 Å³/cell

[9]
! Sr10Nb5N5O14 (PBE, optimized geometry); values from VASP
&SYSTEM
  ibrav = 0, nat = 34, ntyp = 4
/
ATOMIC_SPECIES
Sr 87.62 Sr.upf
Nb 92.91 Nb.upf
N 14.01 N.upf
O 16.00 O.upf
CELL_PARAMETERS angstrom
6.422 -6.371 0.000
6.422 6.371 0.000
-6.391 0.000 6.480
ATOMIC_POSITIONS angstrom
Sr -2.522 1.860 5.215
Sr 6.422 4.543 0.000
Sr 1.320 1.838 3.891
Sr -2.522 -1.860 5.215
Sr 5.133 1.838 2.589
Sr 1.320 -1.838 3.891
Sr 8.975 1.860 1.265
Sr 5.133 -1.838 2.589
Sr 6.422 -4.543 0.000
Sr 8.975 -1.860 1.265
Nb -1.237 0.000 2.572
Nb 2.605 0.000 1.294
Nb 6.422 0.000 0.000
Nb 3.848 0.000 5.186
Nb 7.689 0.000 3.908
N -4.366 0.000 5.771
N -0.720 0.000 4.551
N 3.226 0.000 3.240
N 7.173 0.000 1.929
N 10.819 0.000 0.709
O 1.406 4.318 3.843
O 2.554 2.056 1.295
O 0.624 0.000 1.904
O 5.047 4.318 2.637
O 6.422 2.085 0.000
O 4.538 0.000 0.719
O 2.554 -2.056 1.295
O 3.899 2.056 5.185
O 1.914 0.000 5.761
O 6.422 -2.085 0.000
O 1.406 -4.318 3.843
O 5.829 0.000 4.576
O 3.899 -2.056 5.185
O 5.047 -4.318 2.637
! Energy relative to the elements: -58.44 kcal/mol of atoms
! Raw total energy: -254.90 eV/f.u.
! Calculated volume: 530.2 Å³/cell

[10]
! Eu2Ag2O5 (PBE, optimized geometry); values from VASP
&SYSTEM
  ibrav = 0, nat = 18, ntyp = 3
/
ATOMIC_SPECIES
Eu 151.96 Eu.upf
Ag 107.87 Ag.upf
O 16.00 O.upf
CELL_PARAMETERS angstrom
-7.979 3.008 2.827
7.979 -3.008 2.827
7.979 3.008 -2.827
ATOMIC_POSITIONS angstrom
Eu 1.852 0.093 0.000
Eu 6.127 0.093 0.000
Eu 1.852 2.915 2.827
Eu 6.127 2.915 2.827
Ag 3.990 -0.262 2.903
Ag 0.000 0.000 2.671
Ag 7.979 0.000 2.671
Ag 3.990 3.270 0.076
O 11.969 0.452 -0.379
O 2.043 2.373 -0.435
O 5.936 2.373 -0.435
O -0.563 1.573 1.309
O 8.542 1.573 1.309
O 2.043 0.636 2.392
O 5.936 0.636 2.392
O -3.990 2.556 2.448
O 0.563 4.444 1.309
O -0.563 1.436 4.136
! Energy relative to the elements: -41.37 kcal/mol of atoms
! Raw total energy: -63.63 eV/f.u.
! Calculated volume: 271.4 Å³/cell

[11]
! Li2MgSiO4 (PBE, optimized geometry); values from VASP
&SYSTEM
  ibrav = 0, nat = 32, ntyp = 4
/
ATOMIC_SPECIES
Li 6.94 Li.upf
Mg 24.30 Mg.upf
Si 28.09 Si.upf
O 16.00 O.upf
CELL_PARAMETERS angstrom
10.826 0.000 0.000
0.000 5.059 0.000
0.000 0.000 6.365
ATOMIC_POSITIONS angstrom
Li 0.808 1.046 0.000
Li 1.755 4.080 1.569
Li 3.658 1.551 4.751
Li 4.605 3.575 3.183
Li 6.221 1.483 0.000
Li 7.168 3.508 1.569
Li 9.071 0.978 4.751
Li 10.018 4.013 3.183
Mg 1.796 4.093 4.707
Mg 3.617 1.564 1.524
Mg 7.209 3.495 4.707
Mg 9.030 0.965 1.524
Si 0.935 1.579 3.155
Si 4.478 4.108 6.337
Si 6.348 0.951 3.155
Si 9.891 3.480 6.337
O 0.622 3.996 6.308
O 0.988 3.234 3.171
O 1.730 1.024 4.474
O 1.740 1.041 1.805
O 3.673 3.571 4.987
O 3.683 3.553 1.292
O 4.425 0.705 6.354
O 4.791 1.467 3.126
O 6.035 3.592 6.308
O 6.401 4.354 3.171
O 7.143 1.506 4.474
O 7.153 1.488 1.805
O 9.086 4.017 4.987
O 9.096 4.035 1.292
O 9.838 1.825 6.354
O 10.204 1.062 3.126
! Energy relative to the elements: -68.10 kcal/mol of atoms
! Raw total energy: -51.51 eV/f.u.
! Calculated volume: 348.6 Å³/cell

[12]
! Ti8In4CoNi3 (PBE, optimized geometry); values from VASP
&SYSTEM
  ibrav = 0, nat = 16, ntyp = 4
/
ATOMIC_SPECIES
Ti 47.87 Ti.upf
In 114.82 In.upf
Co 58.93 Co.upf
Ni 58.69 Ni.upf
CELL_PARAMETERS angstrom
2.284 1.319 14.794
-2.284 1.319 14.794
0.000 -2.638 14.794
ATOMIC_POSITIONS angstrom
Ti 0.000 0.000 2.749
Ti 0.000 0.000 8.328
Ti 0.000 0.000 13.874
Ti 0.000 0.000 19.416
Ti 0.000 0.000 24.967
Ti 0.000 0.000 30.509
Ti 0.000 0.000 36.055
Ti 0.000 0.000 41.634
In 0.000 0.000 5.541
In 0.000 0.000 16.632
In 0.000 0.000 27.751
In 0.000 0.000 38.842
Co 0.000 0.000 0.000
Ni 0.000 0.000 11.095
Ni 0.000 0.000 22.192
Ni 0.000 0.000 33.288
! Energy relative to the elements: -1.82 kcal/mol of atoms
! Raw total energy: -99.88 eV/f.u.
! Calculated volume: 267.4 Å³/cell